Entry 1:
Entry from the Materials Project: crystalline Te15Mo2Br12O2 at its relaxed geometry (PBE with a Hubbard U).

The structure in POSCAR format:
```
Te15Mo2Br12O2
1.0
5.3441 -5.5037 -2.8466
-4.1915 -11.7601 8.9579
-7.2704 -1.7201 -4.4082
Te Mo Br O
15 2 12 2
Direct
0.6946 0.8440 0.6276
0.1967 0.8441 0.6283
0.3081 0.1485 0.3863
0.8095 0.1497 0.3838
0.9440 0.9560 0.7321
0.4413 0.9610 0.7240
0.0566 0.0397 0.2697
0.5581 0.0398 0.2706
0.7939 0.7000 0.8767
0.2943 0.7000 0.8772
0.2037 0.3071 0.1215
0.7031 0.3079 0.1199
0.0748 0.7548 0.0533
0.4253 0.2384 0.9408
0.9255 0.2365 0.9404
0.5440 0.5004 0.5004
0.0451 0.5005 0.4996
0.9485 0.6661 0.4668
0.4511 0.6681 0.4752
0.0465 0.3321 0.5208
0.5471 0.3325 0.5223
0.0760 0.4915 0.7984
0.5758 0.4942 0.8004
0.9207 0.5045 0.1970
0.4222 0.5060 0.1981
0.1725 0.1001 0.8022
0.6793 0.1003 0.8021
0.8200 0.9112 0.1988
0.3245 0.9109 0.2003
0.2589 0.4999 0.4995
0.7575 0.4997 0.4997
```

DFT formation energy: -1019.1 kJ/mol of formula units
Raw total energy: -3.263 eV/atom
SG: P1, No. 1
Magnetization: 1.99 μB/f.u.

---

Entry 2:
Entry from the Materials Project: crystalline NaW2Br6O2 at its relaxed geometry (PBE with a Hubbard U).

The structure in POSCAR format:
```
NaW2Br6O2
1.0
1.9371 9.0061 0.0000
-1.9371 9.0061 0.0000
0.0000 6.9295 8.8885
Na W Br O
1 2 6 2
Direct
0.5000 0.5000 0.5000
0.0007 0.0007 0.1741
0.9993 0.9993 0.8259
0.8744 0.8744 0.4624
0.1285 0.1285 0.8704
0.1306 0.1306 0.2016
0.1256 0.1256 0.5376
0.8694 0.8694 0.7984
0.8715 0.8715 0.1296
0.5013 0.5013 0.8286
0.4987 0.4987 0.1714
```

DFT formation energy: -1091.4 kJ/mol of formula units
Raw total energy: -4.365 eV/atom
SG: C2/m, No. 12
Magnetization: 2.99 μB/f.u.